# 1
The following is a PBE calculation of crystalline Rb2YHgI6 at its relaxed geometry, from the Materials Project database.

Results
- Calculated formation energy: -1.352 eV per atom
- DFT total energy: -29.12 eV for the cell shown

Cell: 8.825 8.825 8.825 Å, 60.00 60.00 60.00°
Fractional positions:
Rb  0.250  0.250  0.250
Rb  0.750  0.750  0.750
Y  0.000  0.000  0.000
Hg  0.500  0.500  0.500
I  0.243  0.243  0.757
I  0.243  0.757  0.243
I  0.243  0.757  0.757
I  0.757  0.243  0.243
I  0.757  0.243  0.757
I  0.757  0.757  0.243


# 2
The following is a PBE calculation of crystalline CsInCuP6O18 at its relaxed geometry, from the Materials Project database.

Results
- Calculated formation energy: -2.478 eV per atom
- DFT total energy: -183.84 eV for the cell shown

Cell: 5.219 9.141 9.365 Å, 86.68 74.61 74.03°
Fractional positions:
Cs  0.000  0.000  0.000
In  0.494  0.022  0.521
Cu  0.494  0.520  0.023
P  0.056  0.562  0.818
P  0.088  0.784  0.567
P  0.491  0.267  0.776
P  0.495  0.776  0.270
P  0.897  0.259  0.479
P  0.929  0.480  0.228
O  0.160  0.633  0.657
O  0.175  0.619  0.927
O  0.175  0.909  0.624
O  0.193  0.223  0.485
O  0.199  0.385  0.775
O  0.236  0.455  0.195
O  0.284  0.721  0.408
O  0.416  0.763  0.131
O  0.466  0.112  0.739
O  0.521  0.931  0.306
O  0.571  0.280  0.914
O  0.701  0.322  0.638
O  0.749  0.589  0.851
O  0.786  0.657  0.272
O  0.792  0.820  0.562
O  0.811  0.424  0.118
O  0.812  0.133  0.422
O  0.825  0.410  0.389